Record 1
## LaErTl2 (GGA-PBE)

Data for a relaxed LaErTl2 crystal.

Results
V (Å³ per cell): 469.0
DFT total energy (eV per atom): -3.93
ΔE_f (meV per atom): -369

Geometry as CIF:
```
data_LaErTl2
_chemical_formula_sum 'La4 Er4 Tl8'
_symmetry_space_group_name_H-M 'F m -3 m'
_symmetry_Int_Tables_number 225
_symmetry_space_group_name_Hall '-F 4 2 3'
_cell_length_a 7.769
_cell_length_b 7.769
_cell_length_c 7.769
_cell_angle_alpha 90.00
_cell_angle_beta 90.00
_cell_angle_gamma 90.00
loop_
_atom_site_label
_atom_site_type_symbol
_atom_site_fract_x
_atom_site_fract_y
_atom_site_fract_z
_atom_site_occupancy
La1 La 0.000 0.000 0.000 1
Er1 Er 0.000 0.000 0.500 1
Tl1 Tl 0.250 0.250 0.250 1
```

---

Record 2
## Ac3Sn (GGA-PBE)

Data for a relaxed Ac3Sn crystal.

Results
V (Å³ per cell): 151.1
DFT total energy (eV per atom): -4.40
ΔE_f (meV per atom): -311

Geometry as CIF:
```
data_Ac3Sn
_chemical_formula_sum 'Ac3 Sn1'
_symmetry_space_group_name_H-M 'P m -3 m'
_symmetry_Int_Tables_number 221
_symmetry_space_group_name_Hall '-P 4 2 3'
_cell_length_a 5.326
_cell_length_b 5.326
_cell_length_c 5.326
_cell_angle_alpha 90.00
_cell_angle_beta 90.00
_cell_angle_gamma 90.00
loop_
_atom_site_label
_atom_site_type_symbol
_atom_site_fract_x
_atom_site_fract_y
_atom_site_fract_z
_atom_site_occupancy
Ac1 Ac 0.000 0.000 0.500 1
Sn1 Sn 0.500 0.500 0.500 1
```

---

Record 3
## In2Te3O9 (GGA-PBE)

Data for a relaxed In2Te3O9 crystal.

Results
V (Å³ per cell): 847.4
DFT total energy (eV per atom): -5.52
ΔE_f (meV per atom): -1713

Geometry as CIF:
```
data_In2Te3O9
_chemical_formula_sum 'In8 Te12 O36'
_symmetry_space_group_name_H-M 'P n m a'
_symmetry_Int_Tables_number 62
_cell_length_a 8.223
_cell_length_b 18.580
_cell_length_c 5.547
_cell_angle_alpha 90.00
_cell_angle_beta 90.00
_cell_angle_gamma 90.00
loop_
_symmetry_equiv_pos_as_xyz
'x,y,z'
'-x,-y,-z'
'-x+1/2,-y,z+1/2'
'x+1/2,y,-z+1/2'
'x+1/2,-y+1/2,-z+1/2'
'-x+1/2,y+1/2,z+1/2'
'-x,y+1/2,-z'
'x,-y+1/2,z'
loop_
_atom_site_label
_atom_site_type_symbol
_atom_site_fract_x
_atom_site_fract_y
_atom_site_fract_z
_atom_site_occupancy
In1 In 0.185 0.063 0.207 1
Te1 Te 0.138 0.631 0.186 1
Te2 Te 0.158 0.250 0.269 1
O1 O 0.067 0.572 0.909 1
O2 O 0.140 0.750 0.948 1
O3 O 0.150 0.126 0.540 1
O4 O 0.180 0.542 0.375 1
O5 O 0.213 0.173 0.048 1
```

---

Record 4
## Li4CO4 (GGA-PBE)

Data for a relaxed Li4CO4 crystal.

Results
V (Å³ per cell): 146.0
Largest piezoelectric modulus (C/m2): 1.7
DFT total energy (eV per atom): -5.80
Magnetic moment (μB per formula unit): 0.000
ΔE_f (meV per atom): -2030

Geometry as CIF:
```
data_Li4CO4
_chemical_formula_sum 'Li8 C2 O8'
_symmetry_space_group_name_H-M 'P m n 21'
_symmetry_Int_Tables_number 31
_cell_length_a 5.890
_cell_length_b 5.076
_cell_length_c 4.884
_cell_angle_alpha 90.00
_cell_angle_beta 90.00
_cell_angle_gamma 90.00
loop_
_symmetry_equiv_pos_as_xyz
'x,y,z'
'-x+1/2,-y,z+1/2'
'-x,y,z'
'x+1/2,-y,z+1/2'
loop_
_atom_site_label
_atom_site_type_symbol
_atom_site_fract_x
_atom_site_fract_y
_atom_site_fract_z
_atom_site_occupancy
Li1 Li 0.000 0.083 0.000 1
Li2 Li 0.000 0.095 0.491 1
Li3 Li 0.200 0.569 0.116 1
C1 C 0.000 0.690 0.684 1
O1 O 0.000 0.421 0.788 1
O2 O 0.000 0.691 0.401 1
O3 O 0.197 0.818 0.787 1
```

---

Record 5
## Lu5Ni2Sb (GGA-PBE)

Data for a relaxed Lu5Ni2Sb crystal.

Results
V (Å³ per cell): 735.0
DFT total energy (eV per atom): -5.35
ΔE_f (meV per atom): -589

Geometry as CIF:
```
data_Lu5Ni2Sb
_chemical_formula_sum 'Lu20 Ni8 Sb4'
_symmetry_space_group_name_H-M 'I 4/m c m'
_symmetry_Int_Tables_number 140
_symmetry_space_group_name_Hall '-I 4 2c'
_cell_length_a 7.401
_cell_length_b 7.401
_cell_length_c 13.419
_cell_angle_alpha 90.00
_cell_angle_beta 90.00
_cell_angle_gamma 90.00
loop_
_atom_site_label
_atom_site_type_symbol
_atom_site_fract_x
_atom_site_fract_y
_atom_site_fract_z
_atom_site_occupancy
Lu1 Lu 0.000 0.000 0.000 1
Lu2 Lu 0.159 0.341 0.137 1
Ni1 Ni 0.128 0.372 0.500 1
Sb1 Sb 0.000 0.000 0.250 1
```

---

Record 6
## MgSi2 (GGA-PBE)

Data for a relaxed MgSi2 crystal.

Results
V (Å³ per cell): 416.3
DFT total energy (eV per atom): -4.01
Magnetic moment (μB per formula unit): 0.003
ΔE_f (meV per atom): 190
Energy above the lowest structure with this stoichiometry (meV/atom): 112

Geometry as CIF:
```
data_MgSi2
_chemical_formula_sum 'Mg8 Si16'
_symmetry_space_group_name_H-M 'C 1 2/m 1'
_symmetry_Int_Tables_number 12
_cell_length_a 10.040
_cell_length_b 3.885
_cell_length_c 10.783
_cell_angle_alpha 90.00
_cell_angle_beta 98.25
_cell_angle_gamma 90.00
loop_
_symmetry_equiv_pos_as_xyz
'x,y,z'
'-x,-y,-z'
'-x,y,-z'
'x,-y,z'
'x+1/2,y+1/2,z'
'-x+1/2,-y+1/2,-z'
'-x+1/2,y+1/2,-z'
'x+1/2,-y+1/2,z'
loop_
_atom_site_label
_atom_site_type_symbol
_atom_site_fract_x
_atom_site_fract_y
_atom_site_fract_z
_atom_site_occupancy
Mg1 Mg 0.059 0.000 0.335 1
Mg2 Mg 0.155 0.500 0.106 1
Si1 Si 0.062 0.000 0.914 1
Si2 Si 0.118 0.500 0.542 1
Si3 Si 0.138 0.500 0.800 1
Si4 Si 0.239 0.000 0.639 1
```

---

> What is the ΔE_f in the third record?

-1713 meV per atom

---

> What is the ΔE_f in the third record?

-1713 meV per atom

---

Repeat the first record exactly.
## LaErTl2 (GGA-PBE)

Data for a relaxed LaErTl2 crystal.

Results
V (Å³ per cell): 469.0
DFT total energy (eV per atom): -3.93
ΔE_f (meV per atom): -369

Geometry as CIF:
```
data_LaErTl2
_chemical_formula_sum 'La4 Er4 Tl8'
_symmetry_space_group_name_H-M 'F m -3 m'
_symmetry_Int_Tables_number 225
_symmetry_space_group_name_Hall '-F 4 2 3'
_cell_length_a 7.769
_cell_length_b 7.769
_cell_length_c 7.769
_cell_angle_alpha 90.00
_cell_angle_beta 90.00
_cell_angle_gamma 90.00
loop_
_atom_site_label
_atom_site_type_symbol
_atom_site_fract_x
_atom_site_fract_y
_atom_site_fract_z
_atom_site_occupancy
La1 La 0.000 0.000 0.000 1
Er1 Er 0.000 0.000 0.500 1
Tl1 Tl 0.250 0.250 0.250 1
```